(1)
Computed, not measured: crystalline Ba7Al13 at its relaxed geometry at the meta-GGA r2SCAN level of DFT.

```
Ba7Al13
1.0
-0.373 -5.852 1.531
1.545 1.562 -5.649
16.685 0.141 4.604
Al Ba
13 7
Direct
0.500 0.000 0.500
0.838 0.677 0.784
0.333 0.667 0.100
0.667 0.333 0.654
0.677 0.838 0.216
0.162 0.838 0.216
0.000 0.500 0.500
0.838 0.162 0.784
0.500 0.500 0.500
0.162 0.323 0.216
0.333 0.667 0.346
0.323 0.162 0.784
0.667 0.333 0.900
0.000 0.000 0.607
0.333 0.667 0.678
0.000 0.000 0.393
0.667 0.333 0.108
0.000 0.000 0.000
0.333 0.667 0.892
0.667 0.333 0.322
```

* VASP energy: -13.8696 eV/atom
* DFT formation energy: -0.22 eV/atom



(2)
Computed, not measured: crystalline Li7PN4 at its relaxed geometry at the meta-GGA r2SCAN level of DFT.

```
Li7PN4
1.0
9.288 0.000 0.000
0.000 9.288 0.000
0.000 0.000 9.288
Li N P
56 32 8
Direct
0.024 0.254 0.763
0.763 0.024 0.254
0.754 0.476 0.737
0.225 0.775 0.775
0.254 0.237 0.976
0.754 0.524 0.263
0.000 0.500 0.750
0.500 0.500 0.237
0.024 0.746 0.237
0.000 0.500 0.250
0.725 0.725 0.725
0.000 0.500 0.000
0.246 0.476 0.263
0.500 0.250 0.000
0.500 0.000 0.500
0.500 0.500 0.000
0.763 0.976 0.746
0.476 0.737 0.754
0.976 0.746 0.763
0.524 0.263 0.754
0.000 0.000 0.737
0.775 0.775 0.225
0.237 0.976 0.254
0.500 0.763 0.500
0.524 0.737 0.246
0.237 0.500 0.500
0.746 0.763 0.976
0.246 0.524 0.737
0.225 0.225 0.225
0.737 0.246 0.524
0.250 0.000 0.500
0.000 0.000 0.500
0.263 0.246 0.476
0.746 0.237 0.024
0.263 0.000 0.000
0.275 0.275 0.725
0.500 0.750 0.000
0.500 0.237 0.500
0.000 0.263 0.000
0.737 0.000 0.000
0.000 0.737 0.000
0.775 0.225 0.775
0.476 0.263 0.246
0.000 0.500 0.500
0.000 0.000 0.263
0.254 0.763 0.024
0.237 0.024 0.746
0.976 0.254 0.237
0.763 0.500 0.500
0.500 0.500 0.763
0.500 0.000 0.000
0.263 0.754 0.524
0.275 0.725 0.275
0.725 0.275 0.275
0.750 0.000 0.500
0.737 0.754 0.476
0.104 0.896 0.896
0.351 0.387 0.100
0.613 0.900 0.351
0.149 0.600 0.113
0.649 0.613 0.100
0.900 0.351 0.613
0.649 0.387 0.900
0.851 0.600 0.887
0.887 0.851 0.600
0.100 0.649 0.613
0.100 0.351 0.387
0.387 0.100 0.351
0.900 0.649 0.387
0.113 0.149 0.600
0.400 0.113 0.851
0.400 0.887 0.149
0.851 0.400 0.113
0.604 0.604 0.604
0.149 0.400 0.887
0.396 0.396 0.604
0.604 0.396 0.396
0.613 0.100 0.649
0.600 0.887 0.851
0.887 0.149 0.400
0.351 0.613 0.900
0.396 0.604 0.396
0.600 0.113 0.149
0.113 0.851 0.400
0.896 0.104 0.896
0.104 0.104 0.104
0.896 0.896 0.104
0.387 0.900 0.649
0.000 0.250 0.500
0.750 0.500 0.000
0.500 0.000 0.250
0.250 0.500 0.000
0.000 0.000 0.000
0.500 0.000 0.750
0.000 0.750 0.500
0.500 0.500 0.500
```

* VASP energy: -6.0817 eV/atom
* DFT formation energy: -0.90 eV/atom



(3)
Computed, not measured: crystalline ErCr2Si2 at its relaxed geometry at the meta-GGA r2SCAN level of DFT.

```
ErCr2Si2
1.0
-2.008 2.008 5.286
2.008 -2.008 5.286
2.008 2.008 -5.286
Si Er Cr
2 1 2
Direct
0.386 0.386 0.000
0.614 0.614 0.000
0.000 0.000 0.000
0.750 0.250 0.500
0.250 0.750 0.500
```

* VASP energy: -16.7438 eV/atom
* DFT formation energy: -0.42 eV/atom



(4)
Computed, not measured: crystalline NaAg2Sn at its relaxed geometry at the meta-GGA r2SCAN level of DFT.

```
NaAg2Sn
1.0
-0.774 -4.365 1.948
-3.721 -2.703 -1.517
0.816 -3.996 -2.611
Ag Na Sn
2 1 1
Direct
0.250 0.250 0.250
0.750 0.750 0.750
0.500 0.500 0.500
0.000 0.000 0.000
```

* VASP energy: -17.8449 eV/atom
* DFT formation energy: -0.09 eV/atom



(5)
Computed, not measured: crystalline Cs4SiTe4 at its relaxed geometry at the meta-GGA r2SCAN level of DFT.

```
Cs4SiTe4
1.0
15.279 0.000 0.000
0.000 15.279 0.000
0.000 0.000 15.279
Te Cs Si
32 32 8
Direct
0.341 0.605 0.092
0.096 0.096 0.904
0.096 0.904 0.096
0.659 0.605 0.908
0.105 0.841 0.592
0.092 0.659 0.395
0.908 0.341 0.395
0.341 0.395 0.908
0.659 0.395 0.092
0.395 0.092 0.659
0.904 0.904 0.904
0.605 0.908 0.659
0.841 0.408 0.895
0.092 0.341 0.605
0.605 0.092 0.341
0.841 0.592 0.105
0.904 0.096 0.096
0.592 0.105 0.841
0.408 0.105 0.159
0.404 0.596 0.596
0.105 0.159 0.408
0.592 0.895 0.159
0.404 0.404 0.404
0.596 0.404 0.596
0.596 0.596 0.404
0.908 0.659 0.605
0.159 0.592 0.895
0.408 0.895 0.841
0.895 0.159 0.592
0.159 0.408 0.105
0.895 0.841 0.408
0.395 0.908 0.341
0.350 0.350 0.650
0.150 0.850 0.850
0.867 0.912 0.650
0.650 0.133 0.088
0.588 0.367 0.850
0.912 0.650 0.867
0.412 0.367 0.150
0.367 0.850 0.588
0.133 0.912 0.350
0.912 0.350 0.133
0.850 0.412 0.633
0.850 0.150 0.850
0.867 0.088 0.350
0.088 0.650 0.133
0.150 0.412 0.367
0.350 0.867 0.088
0.588 0.633 0.150
0.650 0.867 0.912
0.367 0.150 0.412
0.088 0.350 0.867
0.350 0.650 0.350
0.650 0.650 0.650
0.650 0.350 0.350
0.150 0.150 0.150
0.633 0.150 0.588
0.850 0.588 0.367
0.633 0.850 0.412
0.150 0.588 0.633
0.412 0.633 0.850
0.350 0.133 0.912
0.133 0.088 0.650
0.850 0.850 0.150
0.000 0.250 0.500
0.500 0.000 0.750
0.750 0.500 0.000
0.000 0.000 0.000
0.000 0.750 0.500
0.500 0.000 0.250
0.250 0.500 0.000
0.500 0.500 0.500
```

* VASP energy: -24.4736 eV/atom
* DFT formation energy: -1.04 eV/atom



(6)
Computed, not measured: crystalline YbSi3 at its relaxed geometry at the meta-GGA r2SCAN level of DFT.

```
YbSi3
1.0
-3.574 3.574 5.276
3.574 -3.574 5.276
3.574 3.574 -5.276
Si Yb
12 4
Direct
0.198 0.198 0.625
0.000 0.673 0.673
0.802 0.428 0.000
0.198 0.572 0.000
0.428 0.428 0.625
0.802 0.802 0.375
0.428 0.802 0.000
0.572 0.198 0.000
0.327 0.000 0.327
0.572 0.572 0.375
0.000 0.327 0.327
0.673 0.000 0.673
0.250 0.750 0.500
0.169 0.169 0.000
0.750 0.250 0.500
0.831 0.831 0.000
```

* VASP energy: -16.0068 eV/atom
* DFT formation energy: -0.29 eV/atom



(7)
Computed, not measured: crystalline Rb3Pu at its relaxed geometry at the meta-GGA r2SCAN level of DFT.

```
Rb3Pu
1.0
-5.234 -0.596 -4.053
1.375 -6.456 -0.780
-3.850 -1.423 5.228
Rb Pu
3 1
Direct
0.500 0.500 0.000
0.000 0.500 0.500
0.500 0.000 0.500
0.000 0.000 0.000
```

* VASP energy: -31.4578 eV/atom
* DFT formation energy: 0.58 eV/atom



(8)
Computed, not measured: crystalline Cs2ZnI4 at its relaxed geometry at the meta-GGA r2SCAN level of DFT.

```
Cs2ZnI4
1.0
-3.474 5.841 -4.872
5.829 -3.631 -8.539
-10.774 -9.259 -3.419
Cs Zn I
8 4 16
Direct
0.750 0.976 0.667
0.250 0.024 0.333
0.750 0.476 0.833
0.250 0.371 0.596
0.250 0.871 0.904
0.750 0.629 0.404
0.250 0.524 0.167
0.750 0.129 0.096
0.750 0.735 0.078
0.250 0.766 0.578
0.750 0.235 0.422
0.250 0.265 0.922
0.751 0.810 0.908
0.249 0.190 0.092
0.249 0.003 0.599
0.495 0.827 0.154
0.995 0.173 0.846
0.750 0.997 0.400
0.995 0.673 0.654
0.005 0.827 0.154
0.751 0.497 0.099
0.250 0.503 0.900
0.505 0.173 0.846
0.005 0.327 0.346
0.750 0.310 0.592
0.495 0.327 0.346
0.250 0.690 0.408
0.505 0.673 0.654
```

* VASP energy: -23.8419 eV/atom
* DFT formation energy: -1.36 eV/atom



(9)
Computed, not measured: crystalline Nd3Ho at its relaxed geometry at the meta-GGA r2SCAN level of DFT.

```
Nd3Ho
1.0
5.799 -2.090 -1.268
3.652 4.896 -1.516
-3.810 -0.997 4.908
Nd Ho
3 1
Direct
0.750 0.250 0.500
0.250 0.750 0.500
0.500 0.500 0.000
0.000 0.000 0.000
```

* VASP energy: -30.2553 eV/atom
* E above lowest polymorph: 5 meV per atom
* DFT formation energy: 0.03 eV/atom



(10)
Computed, not measured: crystalline Rb2VF6 at its relaxed geometry at the meta-GGA r2SCAN level of DFT.

```
Rb2VF6
1.0
3.549 -2.289 -4.203
1.496 -5.753 0.397
-2.131 -4.080 -4.023
F Rb V
6 2 1
Direct
0.217 0.783 0.217
0.221 0.221 0.779
0.779 0.779 0.221
0.783 0.217 0.783
0.783 0.217 0.217
0.217 0.783 0.783
0.750 0.750 0.750
0.250 0.250 0.250
0.000 0.000 0.000
```

* VASP energy: -9.9258 eV/atom
* DFT formation energy: -3.18 eV/atom



(11)
Computed, not measured: crystalline RbCuF3 at its relaxed geometry at the meta-GGA r2SCAN level of DFT.

```
RbCuF3
1.0
4.067 0.000 0.000
0.000 4.072 0.000
0.000 0.000 4.072
F Cu Rb
3 1 1
Direct
0.000 0.000 0.500
0.000 0.500 0.000
0.500 0.000 0.000
0.000 0.000 0.000
0.500 0.500 0.500
```

* VASP energy: -9.1631 eV/atom
* DFT formation energy: -2.33 eV/atom



(12)
Computed, not measured: crystalline NaSbF6 at its relaxed geometry at the meta-GGA r2SCAN level of DFT.

```
NaSbF6
1.0
5.064 0.000 2.924
1.688 4.774 2.924
0.000 0.000 5.847
F Na Sb
6 1 1
Direct
0.771 0.229 0.229
0.229 0.229 0.771
0.229 0.771 0.771
0.771 0.229 0.771
0.771 0.771 0.229
0.229 0.771 0.229
0.500 0.500 0.500
0.000 0.000 0.000
```

* VASP energy: -8.7190 eV/atom
* DFT formation energy: -2.72 eV/atom